(1)
A relaxed FeAgO2 crystal, computed with PBE+U.

## Properties
MP2020-corrected energy in eV for the cell shown: -104.34
Calculated formation energy in meV per atom: -1221.7

a b c (Å): 5.328 6.164 7.213
angles (deg): 115.30 104.24 90.00
Fractional coordinates of all 16 atoms:
Fe1 0.000 0.500 0.500
O1 0.388 0.582 0.663
Ag1 0.000 0.000 0.000
Fe2 0.000 0.000 0.500
Ag2 0.500 0.250 0.000
Ag3 0.500 0.750 0.000
O2 0.112 0.168 0.337
O3 0.888 0.831 0.663
Ag4 0.000 0.500 0.000
O4 0.612 0.419 0.337
O5 0.112 0.668 0.337
O6 0.888 0.331 0.663
O7 0.388 0.082 0.663
Fe3 0.500 0.250 0.500
O8 0.612 0.919 0.337
Fe4 0.500 0.750 0.500

(2)
A relaxed Fe3Ag7P8O28 crystal, computed with PBE+U.

## Properties
MP2020-corrected energy in eV for the cell shown: -1279.48
Spin magnetization in μB per atom: 0.33
Calculated formation energy in meV per atom: -2017.0

a b c (Å): 8.564 9.685 28.478
angles (deg): 93.22 90.00 90.00
Fractional coordinates of all 184 atoms:
Fe1 0.721 0.433 0.064
O1 0.038 0.429 0.431
O2 0.912 0.304 0.059
P1 0.041 0.667 0.535
O3 0.834 0.606 0.762
O4 0.877 0.586 0.050
O5 0.511 0.386 0.236
Ag1 0.312 0.785 0.811
O6 0.052 0.514 0.144
O7 0.576 0.229 0.424
O8 0.669 0.824 0.816
O9 0.888 0.427 0.211
Ag2 0.136 0.493 0.054
O10 0.412 0.696 0.441
O11 0.990 0.111 0.764
O12 0.746 0.039 0.866
Ag3 0.642 0.541 0.853
P2 0.505 0.951 0.255
Ag4 0.404 0.240 0.854
O13 0.715 0.685 0.915
O14 0.825 0.403 0.494
P3 0.995 0.951 0.755
P4 0.591 0.743 0.558
Fe2 0.779 0.433 0.564
O15 0.094 0.200 0.995
O16 0.388 0.573 0.289
O17 0.345 0.329 0.318
O18 0.677 0.099 0.506
Fe3 0.779 0.067 0.937
O19 0.782 0.817 0.086
O20 0.559 0.380 0.797
P5 0.490 0.454 0.756
P6 0.510 0.546 0.244
O21 0.441 0.620 0.203
O22 0.989 0.386 0.736
O23 0.112 0.573 0.789
O24 0.655 0.671 0.682
O25 0.120 0.084 0.549
O26 0.406 0.297 0.003
O27 0.620 0.916 0.951
O28 0.923 0.271 0.574
P7 0.409 0.257 0.442
O29 0.588 0.304 0.559
O30 0.061 0.874 0.795
O31 0.380 0.931 0.210
P8 0.389 0.479 0.335
P9 0.588 0.760 0.945
Ag5 0.846 0.252 0.828
P10 0.039 0.832 0.967
O32 0.754 0.039 0.366
Ag6 0.854 0.001 0.561
O33 0.323 0.901 0.494
O34 0.439 0.874 0.295
Fe4 0.674 0.752 0.749
O35 0.489 0.614 0.764
O36 0.092 0.801 0.561
O37 0.453 0.973 0.855
O38 0.960 0.927 0.933
O39 0.218 0.183 0.914
Ag7 0.354 0.999 0.939
O40 0.510 0.111 0.264
P11 0.459 0.667 0.035
P12 0.959 0.333 0.465
Ag8 0.688 0.215 0.189
O41 0.076 0.771 0.076
O42 0.088 0.696 0.941
Fe5 0.826 0.752 0.249
P13 0.912 0.760 0.445
Fe6 0.721 0.067 0.437
Ag9 0.070 0.229 0.142
O43 0.661 0.892 0.235
O44 0.880 0.916 0.451
O45 0.169 0.176 0.684
O46 0.924 0.229 0.924
O47 0.948 0.486 0.856
O48 0.490 0.889 0.736
P14 0.111 0.479 0.835
P15 0.882 0.971 0.334
O49 0.460 0.073 0.567
Ag10 0.358 0.459 0.147
O50 0.077 0.729 0.426
O51 0.155 0.329 0.818
O52 0.462 0.429 0.931
O53 0.282 0.183 0.414
O54 0.331 0.176 0.184
O55 0.831 0.824 0.316
O56 0.175 0.597 0.506
O57 0.561 0.126 0.705
O58 0.325 0.597 0.006
O59 0.718 0.817 0.586
Fe7 0.174 0.248 0.751
O60 0.953 0.027 0.645
O61 0.254 0.961 0.134
P16 0.618 0.971 0.834
O62 0.423 0.729 0.926
Fe8 0.326 0.248 0.251
Ag11 0.570 0.771 0.358
O63 0.334 0.394 0.738
P17 0.990 0.546 0.744
O64 0.623 0.586 0.550
O65 0.059 0.620 0.703
O66 0.177 0.901 0.994
Ag12 0.904 0.760 0.646
O67 0.758 0.454 0.134
O68 0.675 0.403 0.994
O69 0.120 0.931 0.710
O70 0.592 0.199 0.939
O71 0.908 0.199 0.439
P18 0.118 0.029 0.666
O72 0.612 0.427 0.711
O73 0.939 0.126 0.205
O74 0.408 0.801 0.061
O75 0.962 0.571 0.569
Fe9 0.221 0.567 0.436
P19 0.088 0.240 0.555
O76 0.215 0.315 0.585
O77 0.377 0.414 0.450
O78 0.742 0.454 0.634
O79 0.161 0.108 0.265
O80 0.823 0.099 0.006
Ag13 0.930 0.771 0.858
O81 0.166 0.394 0.238
Fe10 0.279 0.933 0.563
P20 0.091 0.257 0.942
O82 0.906 0.703 0.497
O83 0.540 0.927 0.433
Ag14 0.646 0.001 0.061
O84 0.845 0.671 0.182
P21 0.461 0.832 0.467
O85 0.123 0.414 0.950
Ag15 0.364 0.493 0.554
Fe11 0.279 0.567 0.936
Ag16 0.636 0.507 0.446
Ag17 0.864 0.507 0.946
P22 0.541 0.333 0.965
Ag18 0.430 0.229 0.642
O86 0.594 0.703 0.997
Ag19 0.146 0.999 0.439
P23 0.495 0.049 0.745
O87 0.448 0.514 0.644
O88 0.666 0.606 0.262
O89 0.594 0.800 0.505
Ag20 0.188 0.785 0.311
Ag21 0.142 0.459 0.647
O90 0.880 0.069 0.290
O91 0.424 0.771 0.576
O92 0.538 0.571 0.069
O93 0.906 0.800 0.005
Ag22 0.654 0.252 0.328
O94 0.577 0.271 0.074
P24 0.382 0.029 0.166
P25 0.961 0.168 0.033
P26 0.005 0.049 0.245
O95 0.406 0.200 0.495
O96 0.620 0.069 0.790
O97 0.380 0.084 0.049
O98 0.785 0.685 0.415
O99 0.258 0.546 0.366
P27 0.611 0.521 0.665
O100 0.011 0.614 0.264
O101 0.094 0.297 0.503
Fe12 0.221 0.933 0.063
Ag23 0.096 0.240 0.354
O102 0.246 0.961 0.634
P28 0.889 0.521 0.165
O103 0.285 0.315 0.085
Ag24 0.154 0.748 0.172
O104 0.242 0.546 0.866
O105 0.010 0.889 0.236
P29 0.909 0.743 0.058
O106 0.941 0.380 0.297
O107 0.839 0.892 0.735
O108 0.547 0.027 0.145
O109 0.552 0.486 0.356
P30 0.412 0.240 0.055
O110 0.047 0.973 0.355
Ag25 0.346 0.748 0.672
O111 0.339 0.108 0.765
Ag26 0.858 0.541 0.353
Ag27 0.596 0.760 0.146
P31 0.010 0.454 0.256
Ag28 0.812 0.215 0.689
O112 0.040 0.073 0.067
P32 0.539 0.168 0.533

(3)
A relaxed FeAgS2O8 crystal, computed with PBE+U.

## Properties
MP2020-corrected energy in eV for the cell shown: -79.01
Spin magnetization in μB per atom: 0.42
Calculated formation energy in meV per atom: -1654.6

a b c (Å): 4.838 4.838 7.505
angles (deg): 87.87 87.87 65.62
Fractional coordinates of all 12 atoms:
O1 0.239 0.239 0.938
Ag1 0.000 0.000 0.500
O2 0.706 0.706 0.390
O3 0.704 0.238 0.805
O4 0.238 0.704 0.805
O5 0.294 0.294 0.610
S1 0.364 0.364 0.785
O6 0.296 0.762 0.195
O7 0.761 0.761 0.062
Fe1 0.000 0.000 0.000
O8 0.762 0.296 0.195
S2 0.636 0.636 0.215

(4)
A relaxed Sr3Fe2Ag2S2O5 crystal, computed with PBE+U.

## Properties
MP2020-corrected energy in eV for the cell shown: -175.84
Spin magnetization in μB per atom: 0.00
Calculated formation energy in meV per atom: -1945.1

a b c (Å): 5.670 5.670 14.127
angles (deg): 90.00 78.41 90.00
Fractional coordinates of all 28 atoms:
Fe1 0.931 0.000 0.138
Sr1 0.135 0.500 0.730
S1 0.315 0.500 0.370
O1 0.000 0.000 0.000
O2 0.828 0.250 0.844
O3 0.328 0.250 0.844
O4 0.500 0.500 0.000
O5 0.328 0.750 0.844
Ag1 0.000 0.250 0.500
S2 0.815 0.000 0.370
Sr2 0.635 0.000 0.730
O6 0.172 0.750 0.156
Fe2 0.569 0.500 0.862
Sr3 0.365 0.000 0.270
S3 0.185 0.000 0.630
Fe3 0.069 0.000 0.862
Sr4 0.000 0.500 0.000
O7 0.672 0.750 0.156
O8 0.172 0.250 0.156
Ag2 0.500 0.250 0.500
Ag3 0.500 0.750 0.500
Ag4 0.000 0.750 0.500
Sr5 0.865 0.500 0.270
O9 0.672 0.250 0.156
O10 0.828 0.750 0.844
S4 0.685 0.500 0.630
Sr6 0.500 0.000 0.000
Fe4 0.431 0.500 0.138

(5)
A relaxed Sr6Fe5Ag3Se4O10 crystal, computed with PBE+U.

## Properties
MP2020-corrected energy in eV for the cell shown: -174.77
Spin magnetization in μB per atom: 0.82
Calculated formation energy in meV per atom: -1797.3

a b c (Å): 14.693 14.693 5.730
angles (deg): 90.00 90.00 157.52
Fractional coordinates of all 28 atoms:
Fe1 0.568 0.934 0.250
Sr1 0.500 0.000 0.752
Se1 0.701 0.826 0.237
Fe2 0.066 0.432 0.750
Sr2 0.626 0.870 0.749
Ag1 0.500 0.500 0.000
Sr3 0.870 0.626 0.251
O1 0.328 0.672 0.000
Fe3 0.000 0.000 0.000
O2 0.672 0.328 0.500
Sr4 0.130 0.374 0.251
O3 0.172 0.828 0.000
Fe4 0.934 0.568 0.750
Ag2 0.000 0.000 0.500
Se2 0.826 0.701 0.763
Fe5 0.432 0.066 0.250
O4 0.328 0.672 0.500
Se3 0.299 0.174 0.237
O5 0.500 0.000 0.247
O6 0.172 0.828 0.500
Se4 0.174 0.299 0.763
O7 0.828 0.172 0.000
O8 0.000 0.500 0.753
Ag3 0.500 0.500 0.500
O9 0.672 0.328 0.000
Sr5 0.374 0.130 0.749
O10 0.828 0.172 0.500
Sr6 0.000 0.500 0.248

(6)
A relaxed V2FeAg3O8 crystal, computed with PBE+U.

## Properties
MP2020-corrected energy in eV for the cell shown: -193.95
Spin magnetization in μB per atom: 0.36
Calculated formation energy in meV per atom: -1589.6

a b c (Å): 5.213 5.613 14.519
angles (deg): 93.71 90.00 117.67
Fractional coordinates of all 28 atoms:
V1 0.368 0.664 0.606
Fe1 0.000 0.000 0.500
Ag1 0.397 0.679 0.859
O1 0.035 0.327 0.075
O2 0.130 0.881 0.115
O3 0.708 0.673 0.425
V2 0.704 0.336 0.894
O4 0.249 0.119 0.385
O5 0.546 0.332 0.789
O6 0.751 0.881 0.615
V3 0.632 0.336 0.394
O7 0.454 0.668 0.211
O8 0.292 0.327 0.575
O9 0.426 0.214 0.971
O10 0.574 0.786 0.029
O11 0.870 0.119 0.885
Ag2 0.717 0.321 0.641
Ag3 0.283 0.679 0.359
Fe2 0.000 0.000 0.000
O12 0.786 0.332 0.289
O13 0.788 0.214 0.471
Ag4 0.603 0.321 0.141
O14 0.965 0.673 0.925
O15 0.212 0.786 0.529
Ag5 0.956 0.000 0.250
V4 0.296 0.664 0.106
O16 0.214 0.668 0.711
Ag6 0.044 0.000 0.750

(7)
A relaxed V2FeAgO7 crystal, computed with PBE+U.

## Properties
MP2020-corrected energy in eV for the cell shown: -170.60
Spin magnetization in μB per atom: 0.45
Calculated formation energy in meV per atom: -1926.6

a b c (Å): 5.711 7.599 7.789
angles (deg): 115.47 89.45 101.14
Fractional coordinates of all 22 atoms:
O1 0.211 0.987 0.159
O2 0.591 0.305 0.326
O3 0.432 0.677 0.302
V1 0.308 0.228 0.212
O4 0.220 0.972 0.594
O5 0.676 0.745 0.010
O6 0.789 0.013 0.841
O7 0.409 0.695 0.674
V2 0.295 0.218 0.746
O8 0.923 0.655 0.274
O9 0.897 0.632 0.639
O10 0.324 0.255 0.990
O11 0.103 0.368 0.361
Fe1 0.175 0.681 0.477
Ag1 0.827 0.335 0.037
Ag2 0.173 0.665 0.963
O12 0.568 0.323 0.698
Fe2 0.825 0.319 0.523
V3 0.692 0.772 0.788
V4 0.705 0.782 0.254
O13 0.077 0.345 0.726
O14 0.780 0.028 0.406

(8)
A relaxed GdAgW2O8 crystal, computed with PBE+U.

## Properties
MP2020-corrected energy in eV for the cell shown: -221.49
Spin magnetization in μB per atom: 0.58
Calculated formation energy in meV per atom: -2361.3

a b c (Å): 7.458 7.458 7.381
angles (deg): 65.59 65.59 94.03
Fractional coordinates of all 24 atoms:
O1 0.443 0.443 0.863
O2 0.315 0.783 0.645
O3 0.783 0.315 0.645
O4 0.699 0.957 0.085
Gd1 0.700 0.300 0.000
O5 0.217 0.685 0.355
W1 0.163 0.837 0.500
O6 0.978 0.978 0.342
O7 0.102 0.351 0.244
Gd2 0.300 0.700 0.000
O8 0.557 0.557 0.137
O9 0.957 0.699 0.085
O10 0.043 0.301 0.915
Ag1 0.685 0.685 0.482
O11 0.351 0.102 0.244
O12 0.685 0.217 0.355
W2 0.212 0.212 0.033
O13 0.301 0.043 0.915
O14 0.022 0.022 0.658
W3 0.837 0.163 0.500
O15 0.898 0.649 0.756
Ag2 0.315 0.315 0.518
O16 0.649 0.898 0.756
W4 0.788 0.788 0.967

(9)
A relaxed VAgH2O4 crystal, computed with PBE+U.

## Properties
MP2020-corrected energy in eV for the cell shown: -203.39
Spin magnetization in μB per atom: 0.00
Calculated formation energy in meV per atom: -1544.1

a b c (Å): 3.702 7.245 15.860
angles (deg): 90.00 90.00 90.00
Fractional coordinates of all 32 atoms:
Ag1 0.750 0.439 0.405
O1 0.250 0.922 0.341
Ag2 0.250 0.561 0.595
O2 0.750 0.331 0.275
H1 0.542 0.868 0.261
V1 0.750 0.625 0.944
O3 0.250 0.638 0.455
H2 0.042 0.132 0.739
O4 0.250 0.138 0.045
H3 0.542 0.368 0.239
O5 0.750 0.413 0.026
H4 0.042 0.632 0.761
Ag3 0.250 0.061 0.905
O6 0.750 0.831 0.225
V2 0.750 0.125 0.556
O7 0.750 0.578 0.841
H5 0.458 0.632 0.761
O8 0.750 0.362 0.545
O9 0.750 0.862 0.955
O10 0.250 0.422 0.159
V3 0.250 0.375 0.056
O11 0.250 0.587 0.974
V4 0.250 0.875 0.444
O12 0.250 0.087 0.526
H6 0.958 0.868 0.261
O13 0.750 0.078 0.659
Ag4 0.750 0.939 0.095
O14 0.750 0.913 0.474
O15 0.250 0.669 0.725
H7 0.458 0.132 0.739
O16 0.250 0.169 0.775
H8 0.958 0.368 0.239

calculated formation energy of number 1 (FeAgO2)?
-1221.7 meV per atom